Entry 1:
# SbS8N6Cl5

A relaxed structure of SbS8N6Cl5 (PBE, Materials Project).

Lattice parameters (Å, degrees): 9.717 18.519 11.587 90.00 111.17 90.00
Positions (direct):
Sb (0.016, 0.234, 0.101)
Sb (0.016, 0.266, 0.601)
Sb (0.984, 0.734, 0.399)
Sb (0.984, 0.766, 0.899)
S (0.032, 0.007, 0.323)
S (0.032, 0.493, 0.823)
S (0.091, 0.068, 0.923)
S (0.091, 0.432, 0.423)
S (0.284, 0.529, 0.222)
S (0.284, 0.971, 0.722)
S (0.318, 0.053, 0.955)
S (0.318, 0.447, 0.455)
S (0.386, 0.613, 0.762)
S (0.386, 0.887, 0.262)
S (0.406, 0.212, 0.423)
S (0.406, 0.288, 0.923)
S (0.425, 0.731, 0.322)
S (0.425, 0.769, 0.822)
S (0.435, 0.100, 0.465)
S (0.435, 0.400, 0.965)
S (0.565, 0.600, 0.035)
S (0.565, 0.900, 0.535)
S (0.575, 0.231, 0.178)
S (0.575, 0.269, 0.678)
S (0.594, 0.712, 0.077)
S (0.594, 0.788, 0.577)
S (0.614, 0.113, 0.738)
S (0.614, 0.387, 0.238)
S (0.682, 0.553, 0.545)
S (0.682, 0.947, 0.045)
S (0.716, 0.029, 0.278)
S (0.716, 0.471, 0.778)
S (0.909, 0.568, 0.577)
S (0.909, 0.932, 0.077)
S (0.968, 0.507, 0.177)
S (0.968, 0.993, 0.677)
N (0.012, 0.537, 0.704)
N (0.012, 0.963, 0.204)
N (0.111, 0.532, 0.154)
N (0.111, 0.968, 0.654)
N (0.348, 0.011, 0.849)
N (0.348, 0.489, 0.349)
N (0.375, 0.697, 0.744)
N (0.375, 0.803, 0.244)
N (0.473, 0.584, 0.895)
N (0.473, 0.916, 0.395)
N (0.481, 0.239, 0.038)
N (0.481, 0.261, 0.538)
N (0.519, 0.739, 0.462)
N (0.519, 0.761, 0.962)
N (0.527, 0.084, 0.605)
N (0.527, 0.416, 0.105)
N (0.625, 0.197, 0.756)
N (0.625, 0.303, 0.256)
N (0.652, 0.511, 0.651)
N (0.652, 0.989, 0.151)
N (0.889, 0.032, 0.346)
N (0.889, 0.468, 0.846)
N (0.988, 0.037, 0.796)
N (0.988, 0.463, 0.296)
Cl (0.015, 0.231, 0.309)
Cl (0.015, 0.269, 0.809)
Cl (0.178, 0.627, 0.451)
Cl (0.178, 0.873, 0.951)
Cl (0.186, 0.675, 0.966)
Cl (0.186, 0.825, 0.466)
Cl (0.215, 0.163, 0.665)
Cl (0.215, 0.337, 0.165)
Cl (0.266, 0.122, 0.187)
Cl (0.266, 0.378, 0.687)
Cl (0.734, 0.622, 0.313)
Cl (0.734, 0.878, 0.813)
Cl (0.785, 0.663, 0.835)
Cl (0.785, 0.837, 0.335)
Cl (0.814, 0.175, 0.534)
Cl (0.814, 0.325, 0.034)
Cl (0.822, 0.127, 0.049)
Cl (0.822, 0.373, 0.549)
Cl (0.985, 0.731, 0.191)
Cl (0.985, 0.769, 0.691)

Density: 2185 kg/m³
Final energy: -4.744 eV per atom
Formation enthalpy at 0 K: -0.07 eV per atom



Entry 2:
# CaH2C2O4

A relaxed structure of CaH2C2O4 (PBE, Materials Project).

Lattice parameters (Å, degrees): 6.872 6.872 9.698 90.00 90.00 90.00
Positions (direct):
Ca (0.217, 0.217, 0.000)
Ca (0.283, 0.717, 0.250)
Ca (0.717, 0.283, 0.750)
Ca (0.783, 0.783, 0.500)
H (0.143, 0.670, 0.829)
H (0.170, 0.357, 0.579)
H (0.330, 0.857, 0.671)
H (0.357, 0.170, 0.421)
H (0.643, 0.830, 0.921)
H (0.670, 0.143, 0.171)
H (0.830, 0.643, 0.079)
H (0.857, 0.330, 0.329)
C (0.195, 0.706, 0.935)
C (0.206, 0.305, 0.685)
C (0.294, 0.805, 0.565)
C (0.305, 0.206, 0.315)
C (0.695, 0.794, 0.815)
C (0.706, 0.195, 0.065)
C (0.794, 0.695, 0.185)
C (0.805, 0.294, 0.435)
O (0.065, 0.275, 0.768)
O (0.118, 0.780, 0.534)
O (0.220, 0.882, 0.966)
O (0.225, 0.565, 0.018)
O (0.275, 0.065, 0.232)
O (0.280, 0.382, 0.284)
O (0.382, 0.280, 0.716)
O (0.435, 0.775, 0.482)
O (0.565, 0.225, 0.982)
O (0.618, 0.720, 0.216)
O (0.720, 0.618, 0.784)
O (0.725, 0.935, 0.732)
O (0.775, 0.435, 0.518)
O (0.780, 0.118, 0.466)
O (0.882, 0.220, 0.034)
O (0.935, 0.725, 0.268)

Piezoelectric modulus e_max: 0.1 C/m2
Density: 1887 kg/m³
Energy above the most stable polymorph in this dataset: 5 meV/atom
Final energy: -6.708 eV per atom
Formation enthalpy at 0 K: -1.79 eV per atom



Entry 3:
# KDyS2O9

A relaxed structure of KDyS2O9 (PBE, Materials Project).

Lattice parameters (Å, degrees): 10.103 8.522 10.309 90.00 117.50 90.00
Positions (direct):
K (0.220, 0.178, 0.190)
K (0.220, 0.322, 0.690)
K (0.780, 0.678, 0.310)
K (0.780, 0.822, 0.810)
Dy (0.249, 0.632, 0.030)
Dy (0.249, 0.868, 0.530)
Dy (0.751, 0.132, 0.470)
Dy (0.751, 0.368, 0.970)
S (0.057, 0.635, 0.184)
S (0.057, 0.865, 0.684)
S (0.493, 0.698, 0.892)
S (0.493, 0.802, 0.392)
S (0.507, 0.198, 0.608)
S (0.507, 0.302, 0.108)
S (0.943, 0.135, 0.316)
S (0.943, 0.365, 0.816)
O (0.061, 0.745, 0.579)
O (0.061, 0.755, 0.079)
O (0.089, 0.707, 0.326)
O (0.089, 0.793, 0.826)
O (0.095, 0.064, 0.376)
O (0.095, 0.436, 0.876)
O (0.168, 0.514, 0.197)
O (0.168, 0.986, 0.697)
O (0.337, 0.612, 0.567)
O (0.337, 0.888, 0.067)
O (0.364, 0.603, 0.881)
O (0.364, 0.897, 0.381)
O (0.390, 0.096, 0.612)
O (0.390, 0.404, 0.112)
O (0.441, 0.697, 0.260)
O (0.441, 0.803, 0.760)
O (0.443, 0.208, 0.972)
O (0.443, 0.292, 0.472)
O (0.557, 0.708, 0.528)
O (0.557, 0.792, 0.028)
O (0.559, 0.197, 0.240)
O (0.559, 0.303, 0.740)
O (0.610, 0.596, 0.888)
O (0.610, 0.904, 0.388)
O (0.636, 0.103, 0.619)
O (0.636, 0.397, 0.119)
O (0.663, 0.112, 0.933)
O (0.663, 0.388, 0.433)
O (0.832, 0.014, 0.303)
O (0.832, 0.486, 0.803)
O (0.905, 0.564, 0.124)
O (0.905, 0.936, 0.624)
O (0.911, 0.207, 0.174)
O (0.911, 0.293, 0.674)
O (0.939, 0.245, 0.921)
O (0.939, 0.255, 0.421)

Density: 3456 kg/m³
Final energy: -6.238 eV per atom
Formation enthalpy at 0 K: -2.21 eV per atom



Entry 4:
# CaI2O4

A relaxed structure of CaI2O4 (PBE, Materials Project).

Lattice parameters (Å, degrees): 4.719 8.121 7.504 90.00 110.01 90.00
Positions (direct):
Ca (0.000, 0.000, 0.000)
Ca (0.000, 0.500, 0.500)
I (0.315, 0.122, 0.635)
I (0.315, 0.378, 0.135)
I (0.685, 0.622, 0.865)
I (0.685, 0.878, 0.365)
O (0.010, 0.502, 0.192)
O (0.010, 0.998, 0.692)
O (0.442, 0.666, 0.606)
O (0.442, 0.834, 0.106)
O (0.558, 0.166, 0.894)
O (0.558, 0.334, 0.394)
O (0.990, 0.002, 0.308)
O (0.990, 0.498, 0.808)

Density: 4399 kg/m³
Final energy: -4.464 eV per atom
Formation enthalpy at 0 K: -1.31 eV per atom



Entry 5:
# HoTe2ClO5

A relaxed structure of HoTe2ClO5 (PBE, Materials Project).

Lattice parameters (Å, degrees): 7.663 8.015 10.412 100.80 99.19 91.97
Positions (direct):
Ho (0.238, 0.488, 0.447)
Ho (0.255, 0.007, 0.520)
Ho (0.745, 0.993, 0.480)
Ho (0.762, 0.512, 0.553)
Te (0.004, 0.076, 0.238)
Te (0.171, 0.377, 0.759)
Te (0.377, 0.792, 0.237)
Te (0.445, 0.755, 0.758)
Te (0.555, 0.245, 0.242)
Te (0.623, 0.208, 0.763)
Te (0.829, 0.623, 0.241)
Te (0.996, 0.924, 0.762)
Cl (0.170, 0.426, 0.161)
Cl (0.337, 0.107, 0.917)
Cl (0.663, 0.893, 0.083)
Cl (0.830, 0.574, 0.839)
O (0.033, 0.077, 0.642)
O (0.061, 0.455, 0.608)
O (0.168, 0.203, 0.385)
O (0.172, 0.914, 0.163)
O (0.225, 0.804, 0.657)
O (0.285, 0.744, 0.388)
O (0.325, 0.587, 0.840)
O (0.345, 0.275, 0.658)
O (0.470, 0.007, 0.356)
O (0.488, 0.598, 0.609)
O (0.512, 0.402, 0.391)
O (0.530, 0.993, 0.644)
O (0.655, 0.725, 0.342)
O (0.675, 0.413, 0.160)
O (0.715, 0.256, 0.612)
O (0.775, 0.196, 0.343)
O (0.828, 0.086, 0.837)
O (0.832, 0.797, 0.615)
O (0.939, 0.545, 0.392)
O (0.967, 0.923, 0.358)

Density: 5749 kg/m³
Final energy: -5.960 eV per atom
Formation enthalpy at 0 K: -2.18 eV per atom



Entry 6:
# Mg16Al12Ga

A relaxed structure of Mg16Al12Ga (PBE, Materials Project).

Lattice parameters (Å, degrees): 9.100 9.100 9.100 109.47 109.47 109.47
Positions (direct):
Mg (0.000, 0.000, 0.000)
Mg (0.001, 0.001, 0.347)
Mg (0.001, 0.319, 0.601)
Mg (0.001, 0.347, 0.001)
Mg (0.001, 0.601, 0.319)
Mg (0.288, 0.687, 0.687)
Mg (0.319, 0.001, 0.601)
Mg (0.319, 0.601, 0.001)
Mg (0.347, 0.001, 0.001)
Mg (0.409, 0.409, 0.711)
Mg (0.409, 0.711, 0.409)
Mg (0.601, 0.001, 0.319)
Mg (0.601, 0.319, 0.001)
Mg (0.687, 0.288, 0.687)
Mg (0.687, 0.687, 0.288)
Mg (0.711, 0.409, 0.409)
Al (0.004, 0.636, 0.819)
Al (0.004, 0.819, 0.636)
Al (0.176, 0.362, 0.362)
Al (0.188, 0.188, 0.815)
Al (0.188, 0.815, 0.188)
Al (0.362, 0.176, 0.362)
Al (0.362, 0.362, 0.176)
Al (0.636, 0.004, 0.819)
Al (0.636, 0.819, 0.004)
Al (0.815, 0.188, 0.188)
Al (0.819, 0.004, 0.636)
Al (0.819, 0.636, 0.004)
Ga (0.680, 0.680, 0.680)

Density: 2239 kg/m³
Energy above the most stable polymorph in this dataset: 2 meV/atom
Final energy: -2.566 eV per atom
Formation enthalpy at 0 K: -0.03 eV per atom



Entry 7:
# U11S20

A relaxed structure of U11S20 (PBE, Materials Project).

Lattice parameters (Å, degrees): 10.174 10.174 6.352 90.00 90.00 90.00
Positions (direct):
U (0.000, 0.000, 0.000)
U (0.000, 0.000, 0.498)
U (0.156, 0.350, 0.897)
U (0.162, 0.647, 0.395)
U (0.350, 0.844, 0.897)
U (0.353, 0.162, 0.395)
U (0.500, 0.500, 0.777)
U (0.647, 0.838, 0.395)
U (0.650, 0.156, 0.897)
U (0.838, 0.353, 0.395)
U (0.844, 0.650, 0.897)
S (0.000, 0.500, 0.147)
S (0.000, 0.500, 0.643)
S (0.090, 0.208, 0.256)
S (0.090, 0.793, 0.754)
S (0.207, 0.090, 0.754)
S (0.208, 0.910, 0.256)
S (0.290, 0.411, 0.531)
S (0.291, 0.589, 0.019)
S (0.411, 0.291, 0.019)
S (0.411, 0.710, 0.531)
S (0.500, 0.000, 0.147)
S (0.500, 0.000, 0.643)
S (0.589, 0.290, 0.531)
S (0.589, 0.709, 0.019)
S (0.709, 0.411, 0.019)
S (0.710, 0.589, 0.531)
S (0.792, 0.090, 0.256)
S (0.793, 0.910, 0.754)
S (0.910, 0.207, 0.754)
S (0.910, 0.792, 0.256)

Density: 8233 kg/m³
Energy above the most stable polymorph in this dataset: 0 meV/atom
Final energy: -7.984 eV per atom
Formation enthalpy at 0 K: -1.63 eV per atom



Entry 8:
# CaH16O10

A relaxed structure of CaH16O10 (PBE, Materials Project).

Lattice parameters (Å, degrees): 6.142 6.136 11.347 90.00 91.19 90.00
Positions (direct):
Ca (0.000, 0.007, 0.000)
Ca (0.000, 0.993, 0.500)
H (0.024, 0.442, 0.887)
H (0.024, 0.558, 0.387)
H (0.026, 0.442, 0.117)
H (0.026, 0.558, 0.617)
H (0.267, 0.371, 0.890)
H (0.267, 0.629, 0.390)
H (0.269, 0.374, 0.108)
H (0.269, 0.626, 0.608)
H (0.288, 0.081, 0.292)
H (0.288, 0.919, 0.792)
H (0.364, 0.274, 0.610)
H (0.364, 0.726, 0.110)
H (0.371, 0.264, 0.389)
H (0.371, 0.736, 0.889)
H (0.434, 0.031, 0.613)
H (0.434, 0.969, 0.113)
H (0.555, 0.033, 0.885)
H (0.555, 0.967, 0.385)
H (0.614, 0.270, 0.110)
H (0.614, 0.730, 0.610)
H (0.620, 0.277, 0.891)
H (0.620, 0.723, 0.391)
H (0.688, 0.077, 0.207)
H (0.688, 0.923, 0.707)
H (0.724, 0.380, 0.390)
H (0.724, 0.620, 0.890)
H (0.726, 0.378, 0.610)
H (0.726, 0.622, 0.110)
H (0.914, 0.294, 0.707)
H (0.914, 0.305, 0.294)
H (0.914, 0.695, 0.794)
H (0.914, 0.706, 0.207)
O (0.117, 0.312, 0.873)
O (0.117, 0.688, 0.373)
O (0.122, 0.312, 0.129)
O (0.122, 0.688, 0.629)
O (0.304, 0.124, 0.626)
O (0.304, 0.876, 0.126)
O (0.313, 0.110, 0.377)
O (0.313, 0.890, 0.877)
O (0.504, 0.493, 0.433)
O (0.504, 0.507, 0.933)
O (0.505, 0.498, 0.066)
O (0.505, 0.502, 0.566)
O (0.679, 0.117, 0.123)
O (0.679, 0.883, 0.623)
O (0.684, 0.129, 0.872)
O (0.684, 0.871, 0.372)
O (0.877, 0.313, 0.377)
O (0.877, 0.687, 0.877)
O (0.882, 0.320, 0.622)
O (0.882, 0.680, 0.122)

Density: 1679 kg/m³
Energy above the most stable polymorph in this dataset: 43 meV/atom
Final energy: -5.015 eV per atom
Formation enthalpy at 0 K: -1.35 eV per atom



Entry 9:
# TeMoWSeS2

A relaxed structure of TeMoWSeS2 (PBE, Materials Project).

Lattice parameters (Å, degrees): 3.306 3.306 37.630 90.00 90.00 120.00
Positions (direct):
Te (0.000, 0.000, 0.000)
Te (0.000, 0.000, 0.102)
Mo (0.667, 0.333, 0.051)
Mo (0.667, 0.333, 0.427)
W (0.000, 0.000, 0.239)
W (0.000, 0.000, 0.614)
Se (0.667, 0.333, 0.194)
Se (0.667, 0.333, 0.284)
S (0.000, 0.000, 0.386)
S (0.000, 0.000, 0.467)
S (0.667, 0.333, 0.574)
S (0.667, 0.333, 0.655)

Density: 5132 kg/m³
Energy above the most stable polymorph in this dataset: 17 meV/atom
Final energy: -7.028 eV per atom
Formation enthalpy at 0 K: -0.74 eV per atom



Entry 10:
# Ca2Mg

A relaxed structure of Ca2Mg (PBE, Materials Project).

Lattice parameters (Å, degrees): 3.736 3.736 17.992 90.00 90.00 120.00
Positions (direct):
Ca (0.333, 0.667, 0.275)
Ca (0.333, 0.667, 0.908)
Ca (0.667, 0.333, 0.092)
Ca (0.667, 0.333, 0.725)
Mg (0.333, 0.667, 0.570)
Mg (0.667, 0.333, 0.430)

Density: 1595 kg/m³
Final energy: -1.798 eV per atom
Formation enthalpy at 0 K: 0.07 eV per atom



Entry 11:
# Mg6TiV

A relaxed structure of Mg6TiV (PBE, Materials Project).

Lattice parameters (Å, degrees): 5.017 6.090 10.871 90.00 90.00 90.00
Positions (direct):
Mg (0.000, 0.252, 0.419)
Mg (0.000, 0.748, 0.419)
Mg (0.500, 0.752, 0.088)
Mg (0.500, 0.248, 0.088)
Mg (0.500, 0.000, 0.325)
Mg (0.500, 0.500, 0.327)
Mg (0.000, 0.752, 0.919)
Mg (0.000, 0.248, 0.919)
Mg (0.500, 0.252, 0.588)
Mg (0.500, 0.748, 0.588)
Mg (0.500, 0.500, 0.825)
Mg (0.500, 0.000, 0.827)
Ti (0.000, 0.500, 0.168)
Ti (0.000, 0.000, 0.668)
V (0.000, 0.000, 0.167)
V (0.000, 0.500, 0.667)

Density: 2446 kg/m³
Energy above the most stable polymorph in this dataset: 34 meV/atom
Final energy: -3.089 eV per atom
Formation enthalpy at 0 K: 0.23 eV per atom